HgAu3 r2SCAN optimized geometry; formation enthalpy at 0 K = 42 meV/atom; E_tot = -50.239 eV per atom; spin magnetization = 0.000 μB per atom; space-group type = P6_3/mmc, No. 194
1.0
5.858 0.000 0.000
-2.929 5.073 0.000
0.000 0.000 4.983
Hg Au
2 6
Cartesian
0.000 3.382 1.246
2.929 1.691 3.737
0.000 1.676 3.737
-1.478 4.235 3.737
1.451 0.838 1.246
1.478 4.235 3.737
4.407 0.838 1.246
2.929 3.397 1.246